An optimized crystal structure of TbCdAu2, computed with PBE-GGA.

The structure in POSCAR format:
```
TbCdAu2
1.0
3.650 -1.288 -3.096
2.513 -4.207 0.746
-0.606 -3.829 -3.088
Tb Au Cd
1 2 1
direct
0.000 0.000 0.000
0.250 0.250 0.250
0.750 0.750 0.750
0.500 0.500 0.500
```

Output
- SG = No. 225
- energy of formation (kJ/mol of atoms) = -64.8
- crystal system = cubic

***

An optimized crystal structure of La5Mg41, computed with PBE-GGA.

The structure in POSCAR format:
```
La5Mg41
1.0
4.604 -4.159 9.918
1.955 10.500 -4.774
-11.327 0.780 2.820
Mg La
41 5
direct
0.500 0.500 0.500
0.182 0.892 0.556
0.920 0.086 0.712
0.626 0.792 0.712
0.665 0.374 0.556
0.892 0.335 0.709
0.783 0.341 0.124
0.335 0.626 0.444
0.217 0.659 0.876
0.614 0.554 0.787
0.500 0.000 0.000
0.374 0.818 0.709
0.086 0.374 0.166
0.010 0.598 0.608
0.792 0.080 0.166
0.386 0.446 0.213
0.208 0.920 0.834
0.500 0.500 0.000
0.108 0.665 0.291
0.767 0.826 0.213
0.341 0.217 0.558
0.122 0.221 0.343
0.174 0.386 0.941
0.080 0.914 0.288
0.626 0.182 0.291
0.990 0.402 0.392
0.000 0.000 0.500
0.659 0.783 0.442
0.446 0.233 0.059
0.554 0.767 0.941
0.818 0.108 0.444
0.878 0.779 0.657
0.000 0.500 0.000
0.826 0.614 0.059
0.221 0.878 0.099
0.779 0.122 0.901
0.402 0.010 0.412
0.914 0.626 0.834
0.598 0.990 0.588
0.233 0.174 0.787
0.374 0.208 0.288
0.571 0.237 0.808
0.237 0.429 0.666
0.429 0.763 0.192
0.000 0.000 0.000
0.763 0.571 0.334
```

Output
- SG = No. 87
- size of the total moment (μB/f.u.) = 0.00
- energy of formation (kJ/mol of atoms) = -6.7
- crystal system = tetragonal

***

An optimized crystal structure of NdYMg2, computed with PBE-GGA.

The structure in POSCAR format:
```
NdYMg2
1.0
4.865 -1.450 1.950
0.368 -3.926 3.745
2.130 -4.826 -1.320
Mg Y Nd
2 1 1
direct
0.250 0.250 0.250
0.750 0.750 0.750
0.000 0.000 0.000
0.500 0.500 0.500
```

Output
- SG = No. 225
- energy of formation (kJ/mol of atoms) = -10.8
- crystal system = cubic

***

An optimized crystal structure of Tl3Hg, computed with PBE-GGA.

The structure in POSCAR format:
```
Tl3Hg
1.0
-1.035 -4.566 1.538
2.350 -1.852 -3.916
4.206 -0.089 2.566
Hg Tl
1 3
direct
0.000 0.000 0.000
0.000 0.500 0.500
0.500 0.500 0.000
0.500 0.000 0.500
```

Output
- SG = No. 221
- energy of formation (kJ/mol of atoms) = 0.8
- crystal system = cubic

***

The lowest energy of formation belongs to which entry?
TbCdAu2

***

energy of formation of number 3 (NdYMg2)?
-10.8 kJ/mol of atoms

***

Which formula does entry 1 have?
TbCdAu2

***

Among the records above, which one has the lowest energy of formation?
TbCdAu2